Arrangement a

Rb4CO4 | PBE | optimized geometry

a = 6.0543 Å, b = 6.0543 Å, c = 6.0543 Å
α = 75.13°, β = 75.13°, γ = 75.13°
Last column: nearest neighbours and their distance in Å.
Fractional coordinates of all 9 atoms:
1 O 0.0987 0.7781 0.0987  1 C 1.45
2 Rb 0.5750 0.5750 0.0886  3 O 2.54-2.82
3 Rb 0.0886 0.5750 0.5750  3 O 2.54-2.82
4 O 0.0987 0.0987 0.7781  1 C 1.45
5 O 0.8456 0.8456 0.8456  1 C 1.40
6 Rb 0.5750 0.0886 0.5750  3 O 2.54-2.82
7 O 0.7781 0.0987 0.0987  1 C 1.45
8 Rb 0.1780 0.1780 0.1780  3 O 2.76, 1 C 2.89
9 C 0.9539 0.9539 0.9539  4 O 1.40-1.45

As for the crystal system: trigonal.


Arrangement b

Rb4CO4 | PBE | optimized geometry

a = 5.7654 Å, b = 5.7654 Å, c = 5.7654 Å
α = 90.00°, β = 90.00°, γ = 90.00°
Last column: nearest neighbours and their distance in Å.
Fractional coordinates of all 9 atoms:
1 O 0.8550 0.8550 0.8550  1 C 1.45
2 O 0.8550 0.1450 0.1450  1 C 1.45
3 Rb 0.2777 0.2777 0.2777  3 O 2.67, 1 C 2.77
4 C 0.0000 0.0000 0.0000  4 O 1.45
5 Rb 0.7223 0.2777 0.7223  3 O 2.67, 1 C 2.77
6 O 0.1450 0.8550 0.1450  1 C 1.45
7 O 0.1450 0.1450 0.8550  1 C 1.45
8 Rb 0.7223 0.7223 0.2777  3 O 2.67, 1 C 2.77
9 Rb 0.2777 0.7223 0.7223  3 O 2.67, 1 C 2.77

As for the crystal system: cubic.


Most stable to least stable, the ends of the list are arrangement b and arrangement a.